--- P ---
A geometry-optimized MgCo2P2O8 structure, computed with PBE+U.

Output
Space group ... No. 15
Calculated volume ... 11.685 Å³/atom

Geometry as CIF:
```
data_MgCo2P2O8
_space_group_name_H-M_alt 'P 1'
_space_group_IT_number 1
_cell_length_a 8.798
_cell_length_b 8.798
_cell_length_c 16.477
_cell_angle_alpha 119.11
_cell_angle_beta 119.11
_cell_angle_gamma 33.58
loop_
_space_group_symop_operation_xyz
'x,y,z'
loop_
_atom_site_label
_atom_site_type_symbol
_atom_site_fract_x
_atom_site_fract_y
_atom_site_fract_z
_atom_site_occupancy
Mg1 Mg 0.181 0.267 0.124 1
Mg2 Mg 0.267 0.181 0.624 1
Mg3 Mg 0.733 0.819 0.376 1
Mg4 Mg 0.819 0.733 0.876 1
Co1 Co 0.000 0.000 0.000 1
Co2 Co 0.000 0.000 0.500 1
Co3 Co 0.307 0.693 0.250 1
Co4 Co 0.329 0.431 0.035 1
Co5 Co 0.431 0.329 0.535 1
Co6 Co 0.569 0.671 0.465 1
Co7 Co 0.671 0.569 0.965 1
Co8 Co 0.693 0.307 0.750 1
P1 P 0.112 0.212 0.390 1
P2 P 0.212 0.112 0.890 1
P3 P 0.367 0.427 0.357 1
P4 P 0.427 0.367 0.857 1
P5 P 0.573 0.633 0.143 1
P6 P 0.633 0.573 0.643 1
P7 P 0.788 0.888 0.110 1
P8 P 0.888 0.788 0.610 1
O1 O 0.060 0.128 0.790 1
O2 O 0.093 0.688 0.399 1
O3 O 0.100 0.159 0.961 1
O4 O 0.128 0.060 0.290 1
O5 O 0.159 0.100 0.461 1
O6 O 0.162 0.345 0.918 1
O7 O 0.176 0.468 0.601 1
O8 O 0.228 0.600 0.933 1
O9 O 0.285 0.338 0.763 1
O10 O 0.312 0.907 0.101 1
O11 O 0.338 0.285 0.263 1
O12 O 0.345 0.162 0.418 1
O13 O 0.400 0.772 0.567 1
O14 O 0.465 0.514 0.353 1
O15 O 0.468 0.176 0.101 1
O16 O 0.486 0.535 0.147 1
O17 O 0.514 0.465 0.853 1
O18 O 0.532 0.824 0.899 1
O19 O 0.535 0.486 0.647 1
O20 O 0.600 0.228 0.433 1
O21 O 0.655 0.838 0.582 1
O22 O 0.662 0.715 0.737 1
O23 O 0.688 0.093 0.899 1
O24 O 0.715 0.662 0.237 1
O25 O 0.772 0.400 0.067 1
O26 O 0.824 0.532 0.399 1
O27 O 0.838 0.655 0.082 1
O28 O 0.841 0.900 0.539 1
O29 O 0.872 0.940 0.710 1
O30 O 0.900 0.841 0.039 1
O31 O 0.907 0.312 0.601 1
O32 O 0.940 0.872 0.210 1
```


--- Q ---
A geometry-optimized MgCo2P2O8 structure, computed with PBE+U.

Output
Space group ... No. 14
Calculated volume ... 12.713 Å³/atom

Geometry as CIF:
```
data_MgCo2P2O8
_space_group_name_H-M_alt 'P 1'
_space_group_IT_number 1
_cell_length_a 5.104
_cell_length_b 8.413
_cell_length_c 8.918
_cell_angle_alpha 90.00
_cell_angle_beta 120.33
_cell_angle_gamma 90.00
loop_
_space_group_symop_operation_xyz
'x,y,z'
loop_
_atom_site_label
_atom_site_type_symbol
_atom_site_fract_x
_atom_site_fract_y
_atom_site_fract_z
_atom_site_occupancy
Mg1 Mg 0.000 0.000 0.000 1
Mg2 Mg 0.000 0.500 0.500 1
Co1 Co 0.023 0.141 0.614 1
Co2 Co 0.023 0.359 0.114 1
Co3 Co 0.977 0.641 0.886 1
Co4 Co 0.977 0.859 0.386 1
P1 P 0.336 0.693 0.300 1
P2 P 0.336 0.807 0.800 1
P3 P 0.664 0.193 0.200 1
P4 P 0.664 0.307 0.700 1
O1 O 0.187 0.638 0.741 1
O2 O 0.187 0.862 0.241 1
O3 O 0.190 0.579 0.141 1
O4 O 0.190 0.921 0.641 1
O5 O 0.259 0.639 0.439 1
O6 O 0.259 0.861 0.939 1
O7 O 0.317 0.194 0.125 1
O8 O 0.317 0.306 0.625 1
O9 O 0.683 0.694 0.375 1
O10 O 0.683 0.806 0.875 1
O11 O 0.741 0.139 0.061 1
O12 O 0.741 0.361 0.561 1
O13 O 0.810 0.079 0.359 1
O14 O 0.810 0.421 0.859 1
O15 O 0.813 0.138 0.759 1
O16 O 0.813 0.362 0.259 1
```


The energy of each structure relative to the most stable one, in eV/atom, is as follows: P 0.066; Q 0.000.


--- P ---
A geometry-optimized MgCo4P8O28 structure, computed with PBE+U.

Output
Space group ... No. 1
Calculated volume ... 12.649 Å³/atom

Geometry as CIF:
```
data_MgCo4P8O28
_space_group_name_H-M_alt 'P 1'
_space_group_IT_number 1
_cell_length_a 7.010
_cell_length_b 8.203
_cell_length_c 9.522
_cell_angle_alpha 90.88
_cell_angle_beta 108.68
_cell_angle_gamma 90.22
loop_
_space_group_symop_operation_xyz
'x,y,z'
loop_
_atom_site_label
_atom_site_type_symbol
_atom_site_fract_x
_atom_site_fract_y
_atom_site_fract_z
_atom_site_occupancy
Mg1 Mg 0.000 0.000 0.000 1
Co1 Co 0.199 0.165 0.417 1
Co2 Co 0.209 0.247 0.895 1
Co3 Co 0.625 0.662 0.929 1
Co4 Co 0.649 0.712 0.435 1
P1 P 0.385 0.858 0.642 1
P2 P 0.398 0.509 0.134 1
P3 P 0.442 0.004 0.224 1
P4 P 0.455 0.359 0.703 1
P5 P 0.840 0.902 0.219 1
P6 P 0.848 0.487 0.720 1
P7 P 0.989 0.981 0.632 1
P8 P 0.994 0.394 0.123 1
O1 O 0.009 0.251 0.017 1
O2 O 0.019 0.114 0.530 1
O3 O 0.031 0.051 0.794 1
O4 O 0.031 0.334 0.281 1
O5 O 0.035 0.002 0.254 1
O6 O 0.054 0.406 0.766 1
O7 O 0.156 0.840 0.643 1
O8 O 0.162 0.529 0.119 1
O9 O 0.298 0.001 0.065 1
O10 O 0.326 0.350 0.540 1
O11 O 0.398 0.148 0.316 1
O12 O 0.399 0.021 0.569 1
O13 O 0.405 0.341 0.059 1
O14 O 0.409 0.220 0.794 1
O15 O 0.422 0.721 0.542 1
O16 O 0.436 0.527 0.769 1
O17 O 0.445 0.647 0.040 1
O18 O 0.445 0.841 0.300 1
O19 O 0.521 0.851 0.803 1
O20 O 0.524 0.517 0.295 1
O21 O 0.665 0.033 0.215 1
O22 O 0.690 0.341 0.715 1
O23 O 0.787 0.896 0.580 1
O24 O 0.793 0.481 0.071 1
O25 O 0.801 0.554 0.564 1
O26 O 0.810 0.846 0.056 1
O27 O 0.830 0.620 0.831 1
O28 O 0.833 0.764 0.320 1
```


--- Q ---
A geometry-optimized MgCo4P8O28 structure, computed with PBE+U.

Output
Space group ... No. 1
Calculated volume ... 13.090 Å³/atom

Geometry as CIF:
```
data_MgCo4P8O28
_space_group_name_H-M_alt 'P 1'
_space_group_IT_number 1
_cell_length_a 7.009
_cell_length_b 8.324
_cell_length_c 9.835
_cell_angle_alpha 95.70
_cell_angle_beta 109.72
_cell_angle_gamma 90.96
loop_
_space_group_symop_operation_xyz
'x,y,z'
loop_
_atom_site_label
_atom_site_type_symbol
_atom_site_fract_x
_atom_site_fract_y
_atom_site_fract_z
_atom_site_occupancy
Mg1 Mg 0.000 0.000 0.000 1
Co1 Co 0.087 0.119 0.734 1
Co2 Co 0.136 0.980 0.322 1
Co3 Co 0.540 0.573 0.299 1
Co4 Co 0.542 0.529 0.789 1
P1 P 0.287 0.402 0.978 1
P2 P 0.304 0.696 0.512 1
P3 P 0.354 0.862 0.100 1
P4 P 0.356 0.219 0.575 1
P5 P 0.736 0.348 0.569 1
P6 P 0.742 0.752 0.091 1
P7 P 0.882 0.296 0.958 1
P8 P 0.910 0.819 0.503 1
O1 O 0.052 0.434 0.965 1
O2 O 0.071 0.681 0.509 1
O3 O 0.201 0.863 0.947 1
O4 O 0.210 0.190 0.417 1
O5 O 0.281 0.227 0.908 1
O6 O 0.301 0.010 0.190 1
O7 O 0.316 0.091 0.666 1
O8 O 0.328 0.860 0.455 1
O9 O 0.337 0.557 0.411 1
O10 O 0.343 0.391 0.643 1
O11 O 0.346 0.533 0.897 1
O12 O 0.350 0.713 0.178 1
O13 O 0.412 0.406 0.140 1
O14 O 0.437 0.702 0.675 1
O15 O 0.578 0.888 0.094 1
O16 O 0.580 0.202 0.569 1
O17 O 0.677 0.373 0.916 1
O18 O 0.686 0.400 0.418 1
O19 O 0.703 0.729 0.456 1
O20 O 0.715 0.695 0.931 1
O21 O 0.733 0.485 0.689 1
O22 O 0.741 0.626 0.190 1
O23 O 0.891 0.151 0.844 1
O24 O 0.924 0.940 0.398 1
O25 O 0.932 0.217 0.097 1
O26 O 0.942 0.863 0.138 1
O27 O 0.943 0.271 0.609 1
O28 O 0.958 0.911 0.657 1
```


--- R ---
A geometry-optimized MgCo4P8O28 structure, computed with PBE+U.

Output
Space group ... No. 1
Calculated volume ... 12.785 Å³/atom

Geometry as CIF:
```
data_MgCo4P8O28
_space_group_name_H-M_alt 'P 1'
_space_group_IT_number 1
_cell_length_a 7.038
_cell_length_b 8.221
_cell_length_c 9.568
_cell_angle_alpha 90.37
_cell_angle_beta 108.76
_cell_angle_gamma 90.20
loop_
_space_group_symop_operation_xyz
'x,y,z'
loop_
_atom_site_label
_atom_site_type_symbol
_atom_site_fract_x
_atom_site_fract_y
_atom_site_fract_z
_atom_site_occupancy
Mg1 Mg 0.000 0.000 0.000 1
Co1 Co 0.019 0.469 0.401 1
Co2 Co 0.030 0.435 0.890 1
Co3 Co 0.555 0.985 0.874 1
Co4 Co 0.591 0.926 0.387 1
P1 P 0.238 0.657 0.190 1
P2 P 0.242 0.244 0.684 1
P3 P 0.379 0.153 0.103 1
P4 P 0.384 0.733 0.597 1
P5 P 0.758 0.296 0.102 1
P6 P 0.780 0.625 0.596 1
P7 P 0.836 0.790 0.171 1
P8 P 0.850 0.124 0.685 1
O1 O 0.075 0.811 0.173 1
O2 O 0.077 0.104 0.681 1
O3 O 0.162 0.216 0.051 1
O4 O 0.180 0.651 0.545 1
O5 O 0.188 0.582 0.036 1
O6 O 0.200 0.306 0.528 1
O7 O 0.204 0.533 0.298 1
O8 O 0.233 0.374 0.796 1
O9 O 0.380 0.013 0.993 1
O10 O 0.396 0.872 0.492 1
O11 O 0.425 0.802 0.752 1
O12 O 0.439 0.089 0.260 1
O13 O 0.441 0.741 0.241 1
O14 O 0.442 0.150 0.738 1
O15 O 0.523 0.302 0.094 1
O16 O 0.550 0.597 0.597 1
O17 O 0.705 0.114 0.530 1
O18 O 0.738 0.825 0.006 1
O19 O 0.771 0.134 0.025 1
O20 O 0.781 0.791 0.525 1
O21 O 0.797 0.436 0.009 1
O22 O 0.802 0.917 0.275 1
O23 O 0.814 0.617 0.221 1
O24 O 0.822 0.489 0.498 1
O25 O 0.829 0.989 0.790 1
O26 O 0.848 0.291 0.761 1
O27 O 0.888 0.296 0.263 1
O28 O 0.917 0.620 0.755 1
```


The energy of each structure relative to the most stable one, in eV/atom, is as follows: P 0.000; Q 0.034; R 0.019.